A relaxed structure of WN2, computed with GGA-PBE.

Results
* total energy after the MP2020 corrections: -10.22 eV/atom
* ΔH_f (0 K): -0.339 eV per atom
* symmetry: I4_1/amd (141)
* V: 38.2 Å³/f.u.
* crystal system: tetragonal

a = 3.793 Å, b = 3.793 Å, c = 10.630 Å
α = 90.00°, β = 90.00°, γ = 90.00°
Fractional positions:
W: 0.000 0.250 0.375
W: 0.000 0.750 0.625
W: 0.500 0.250 0.125
W: 0.500 0.750 0.875
N: 0.000 0.250 0.178
N: 0.000 0.250 0.572
N: 0.000 0.750 0.428
N: 0.000 0.750 0.822
N: 0.500 0.250 0.322
N: 0.500 0.250 0.928
N: 0.500 0.750 0.072
N: 0.500 0.750 0.678